Material: Na10Y4Ti4Si7S5O48
Method: DFT, GGA-PBE
State: optimized geometry

abc: 18.3900 9.2211 22.7333
angles: 90.05 87.68 119.88
Closest atoms and distances in Å follow each position.
Atoms (fractional coordinates):
1 O 0.0797 0.4495 0.9696  1 Si 1.60
2 O 0.0875 0.0320 0.5917  1 Si 1.67
3 O 0.8298 0.1231 0.1327  1 S 1.46
4 O 0.3214 0.1467 0.4201  1 S 1.51
5 O 0.5663 0.4589 0.5809  1 S 1.50
6 O 0.8475 0.5465 0.5199  1 Si 1.72, 1 Ti 1.85
7 O 0.9923 0.2044 0.3144  1 Si 1.59
8 O 0.5118 0.1951 0.1962  1 Si 1.70, 1 Ti 1.84
9 O 0.2565 0.7037 0.2589  1 Si 1.68
10 O 0.4411 0.5553 0.1381  1 S 1.49
11 O 0.6691 0.4790 0.0845  1 Si 1.61
12 O 0.4211 0.4698 0.4242  1 Si 1.70
13 O 0.4288 0.5071 0.7474  1 Si 1.61
14 O 0.5905 0.0411 0.5916  1 Si 1.68
15 O 0.9037 0.7753 0.3098  1 Si 1.61
16 O 0.1119 0.2181 0.8058  1 S 1.49
17 O 0.1445 0.8240 0.2492  1 S 1.49
18 O 0.7578 0.6738 0.5799  1 Si 1.61
19 O 0.4339 0.3155 0.5287  1 S 1.47
20 O 0.1816 0.4856 0.3557  1 Si 1.71, 1 Ti 1.85
21 O 0.4222 0.8007 0.5827  1 S 1.51
22 O 0.9332 0.5526 0.0295  1 S 1.48
23 O 0.9820 0.1599 0.5831  1 S 1.48
24 O 0.4340 0.5559 0.0311  1 S 1.47
25 O 0.2566 0.3618 0.4231  1 Si 1.70, 1 Ti 1.85
26 O 0.2306 0.1229 0.6462  1 Si 1.59
27 O 0.4950 0.1894 0.9132  1 Si 1.60
28 O 0.7270 0.3215 0.7427  1 S 1.47
29 O 0.4927 0.7826 0.8143  1 Si 1.58
30 O 0.3475 0.5512 0.5246  1 S 1.50
31 O 0.9247 0.8155 0.5899  1 Si 1.68
32 O 0.2627 0.8917 0.3642  1 S 1.46
33 O 0.4913 0.2055 0.3143  1 Si 1.59
34 O 0.4090 0.8464 0.1958  1 Si 1.68
35 O 0.7327 0.1211 0.6468  1 Si 1.60
36 O 0.0923 0.0093 0.9138  1 Si 1.63
37 O 0.0642 0.6764 0.4787  1 Si 1.60
38 O 0.6662 0.8550 0.9723  1 Si 1.58
39 O 0.4280 0.3491 0.2465  1 Si 1.61
40 O 0.3287 0.1183 0.1350  1 S 1.46
41 O 0.1509 0.4724 0.7491  1 S 1.48
42 O 0.0657 0.4662 0.5774  1 S 1.49
43 O 0.0950 0.7070 0.7519  1 Si 1.69, 1 Ti 1.89
44 O 0.5849 0.9830 0.9159  1 Si 1.60
45 O 0.4853 0.1579 0.5816  1 S 1.49
46 O 0.3479 0.1489 0.0283  1 S 1.50
47 O 0.3975 0.7840 0.9128  1 S 1.48
48 O 0.3312 0.1408 0.7414  1 Si 1.64
49 O 0.2268 0.3267 0.1469  1 Si 1.60
50 O 0.5698 0.4672 0.9721  1 Si 1.58
51 O 0.9940 0.8022 0.4132  1 Si 1.62
52 O 0.0127 0.1974 0.1962  1 Si 1.70, 1 Ti 1.83
53 O 0.4068 0.9680 0.6906  1 Si 1.72, 1 Ti 1.84
54 O 0.0863 0.1427 0.0925  1 Si 1.69
55 O 0.2733 0.6669 0.9722  1 S 1.46
56 O 0.7323 0.1270 0.2399  1 S 1.48
57 O 0.2751 0.8803 0.4706  1 S 1.47
58 O 0.8325 0.5240 0.2420  1 Si 1.64
59 O 0.2322 0.1277 0.2401  1 S 1.48
60 O 0.5942 0.4822 0.2541  1 Si 1.70
61 O 0.7580 0.3675 0.4201  1 Si 1.68
62 O 0.2703 0.6688 0.5772  1 S 1.48
63 O 0.8213 0.4967 0.9225  1 S 1.52
64 O 0.0846 0.1858 0.4159  1 Si 1.60
65 O 0.5660 0.5082 0.8570  1 Si 1.72
66 O 0.3316 0.5226 0.2429  1 Si 1.64
67 O 0.6450 0.8242 0.2488  1 S 1.49
68 O 0.0915 0.2050 0.7002  1 S 1.47
69 O 0.7413 0.1903 0.5311  1 Si 1.73, 1 Ti 1.88
70 O 0.9824 0.8109 0.0826  1 S 1.48
71 O 0.0707 0.5160 0.8595  1 Si 1.71, 1 Ti 1.90
72 O 0.6771 0.4901 0.3602  1 Si 1.72, 1 Ti 1.84
73 O 0.0659 0.6726 0.0803  1 S 1.48
74 O 0.7260 0.3242 0.1482  1 Si 1.59
75 O 0.2572 0.1501 0.9236  1 Si 1.70, 1 Ti 1.83
76 O 0.9247 0.5126 0.7489  1 Si 1.59
77 O 0.1632 0.4737 0.4714  1 Si 1.58
78 O 0.2304 0.3270 0.7421  1 S 1.50
79 O 0.2610 0.6372 0.8657  1 S 1.46
80 O 0.9967 0.1871 0.9098  1 Si 1.63
81 O 0.7409 0.3041 0.0310  1 Si 1.74, 1 Ti 1.83
82 O 0.5859 0.1422 0.0926  1 Si 1.68
83 O 0.2581 0.8117 0.7580  1 Si 1.66
84 O 0.1516 0.8418 0.9703  1 Si 1.58
85 O 0.0104 0.8236 0.6950  1 Si 1.72, 1 Ti 1.83
86 O 0.4823 0.8136 0.0844  1 S 1.48
87 O 0.6819 0.8763 0.8564  1 Si 1.72, 1 Ti 1.84
88 O 0.9332 0.3102 0.5257  1 S 1.48
89 O 0.4022 0.7765 0.3104  1 Si 1.61
90 O 0.1116 0.0162 0.3017  1 S 1.48
91 O 0.5924 0.2078 0.6930  1 S 1.50
92 O 0.8186 0.5081 0.6348  1 Si 1.58
93 O 0.0729 0.6338 0.3613  1 Si 1.72
94 O 0.6118 0.0161 0.3015  1 S 1.48
95 O 0.7595 0.8749 0.3661  1 S 1.47
96 O 0.1623 0.8525 0.5822  1 Si 1.63
97 O 0.7695 0.8712 0.0779  1 S 1.47
98 O 0.7753 0.8783 0.4725  1 S 1.48
99 O 0.8482 0.1430 0.0255  1 S 1.50
100 O 0.6019 0.1950 0.7993  1 S 1.47
101 O 0.0934 0.4829 0.2545  1 Si 1.70, 1 Ti 1.89
102 O 0.5674 0.6816 0.4714  1 Si 1.58
103 O 0.8961 0.9872 0.4112  1 S 1.50
104 O 0.9253 0.3753 0.9269  1 Si 1.68
105 O 0.3297 0.5358 0.6319  1 S 1.46
106 O 0.4226 0.3800 0.9267  1 Si 1.71
107 O 0.7576 0.1528 0.9237  1 Si 1.71, 1 Ti 1.84
108 O 0.6427 0.4587 0.7482  1 S 1.48
109 O 0.9279 0.3484 0.2472  1 Si 1.61
110 O 0.5845 0.1849 0.4159  1 Si 1.61
111 O 0.7631 0.6340 0.8654  1 S 1.46
112 O 0.9383 0.3396 0.6318  1 S 1.47
113 O 0.9399 0.5536 0.1368  1 S 1.49
114 O 0.8207 0.1389 0.4178  1 S 1.49
115 O 0.5112 0.8263 0.6960  1 Si 1.72, 1 Ti 1.80
116 O 0.5944 0.7066 0.7534  1 Si 1.70
117 O 0.4127 0.0426 0.8016  1 Si 1.59
118 O 0.4889 0.7996 0.4115  1 Si 1.62
119 O 0.9050 0.9723 0.6946  1 Si 1.71, 1 Ti 1.90
120 O 0.5917 0.9753 0.1969  1 S 1.48
121 O 0.2392 0.3010 0.0291  1 Si 1.73, 1 Ti 1.89
122 O 0.2687 0.8727 0.0769  1 S 1.47
123 O 0.1692 0.4798 0.0827  1 Si 1.61
124 O 0.6605 0.4575 0.4786  1 Si 1.59
125 O 0.4387 0.3269 0.6359  1 S 1.48
126 O 0.5672 0.6786 0.0817  1 S 1.49
127 O 0.2418 0.1749 0.5295  1 Si 1.74, 1 Ti 1.84
128 O 0.3980 0.9986 0.4110  1 S 1.48
129 O 0.9095 0.8479 0.1957  1 Si 1.69
130 O 0.8244 0.1304 0.7459  1 Si 1.62
131 O 0.7543 0.8004 0.7582  1 Si 1.69
132 O 0.0920 0.9760 0.1969  1 S 1.48
133 O 0.9239 0.4702 0.4227  1 Si 1.69
134 O 0.9972 0.7837 0.8142  1 Si 1.59
135 O 0.8937 0.0078 0.8132  1 Si 1.60
136 O 0.9212 0.0396 0.0840  1 S 1.51
137 O 0.4207 0.0399 0.0840  1 S 1.51
138 O 0.8986 0.7967 0.9129  1 S 1.50
139 O 0.1777 0.8763 0.8539  1 Si 1.70, 1 Ti 1.85
140 O 0.3109 0.4829 0.9195  1 S 1.52
141 O 0.7565 0.7022 0.2594  1 Si 1.67
142 O 0.6763 0.8693 0.5795  1 Si 1.61
143 O 0.7739 0.6727 0.9718  1 S 1.46
144 O 0.5658 0.6299 0.3561  1 Si 1.71
145 S 0.6414 0.2971 0.7454  4 O 1.47-1.50
146 S 0.3094 0.6463 0.9165  4 O 1.46-1.52
147 S 0.8403 0.0437 0.0799  4 O 1.46-1.51
148 S 0.6451 0.9854 0.2452  4 O 1.48-1.49
149 S 0.3412 0.6369 0.5793  4 O 1.46-1.51
150 S 0.8111 0.6496 0.9172  4 O 1.46-1.52
151 S 0.1443 0.3062 0.7476  4 O 1.47-1.50
152 S 0.4788 0.3121 0.5804  4 O 1.47-1.50
153 S 0.9798 0.6480 0.0807  4 O 1.48-1.49
154 S 0.3119 0.9749 0.4152  4 O 1.46-1.51
155 S 0.8101 0.9684 0.4156  4 O 1.47-1.50
156 S 0.3400 0.0437 0.0811  4 O 1.46-1.51
157 S 0.4803 0.6513 0.0819  4 O 1.47-1.49
158 S 0.1451 0.9855 0.2454  4 O 1.48-1.49
159 S 0.9798 0.3178 0.5785  4 O 1.47-1.49
160 Na 0.0261 0.0146 0.5007  2 O 2.35-2.36
161 Na 0.8269 0.9673 0.5903  3 O 2.36-2.50
162 Na 0.1791 0.6635 0.1638  5 O 2.45-2.68
163 Na 0.8496 0.0350 0.9105  3 O 2.34-2.43
164 Na 0.1845 0.3674 0.2402  3 O 2.32-2.40
165 Na 0.6851 0.3689 0.2408  3 O 2.31-2.38
166 Na 0.9926 0.6758 0.9154  4 O 2.42-2.68
167 Na 0.1846 0.0029 0.7432  3 O 2.34-2.39
168 Na 0.9860 0.3006 0.4146  5 O 2.36-2.63
169 Na 0.9923 0.6382 0.2545  3 O 2.33-2.61
170 Na 0.4911 0.3087 0.4147  4 O 2.41-2.50
171 Na 0.8483 0.3452 0.8289  1 O 2.30
172 Na 0.4939 0.6384 0.2540  2 O 2.33-2.43
173 Na 0.4914 0.6759 0.9168  4 O 2.37-2.52
174 Na 0.8489 0.6671 0.4102  3 O 2.32-2.46
175 Na 0.4926 0.3433 0.7597  3 O 2.35-2.57
176 Na 0.0158 0.7005 0.5771  3 O 2.34-2.42
177 Na 0.3376 0.3242 0.3304  4 O 2.41-2.65
178 Na 0.5155 0.0422 0.9997  5 O 2.45-2.67
179 Na 0.3435 0.3336 0.8345  5 O 2.49-2.71
180 Na 0.1781 0.6749 0.6725  3 O 2.40-2.43
181 Na 0.8363 0.3217 0.3348  4 O 2.44-2.55
182 Na 0.6790 0.6652 0.1644  5 O 2.45-2.65
183 Na 0.6817 0.0023 0.7433  3 O 2.28-2.39
184 Na 0.5180 0.9877 0.4998  5 O 2.44-2.67
185 Na 0.1559 0.3038 0.9232  4 O 2.38-2.60
186 Na 0.0117 0.0142 0.0056  4 O 2.40-2.52
187 Na 0.3460 0.6622 0.4087  3 O 2.28-2.43
188 Na 0.6570 0.3421 0.5815  4 O 2.39-2.67
189 Na 0.6767 0.6830 0.6685  5 O 2.46-2.66
190 Si 0.1811 0.0438 0.5884  4 O 1.59-1.74
191 Si 0.6801 0.3174 0.0894  4 O 1.59-1.74
192 Si 0.8341 0.6353 0.5827  4 O 1.58-1.72
193 Si 0.1812 0.3185 0.0876  4 O 1.60-1.73
194 Si 0.6839 0.0496 0.5877  4 O 1.60-1.73
195 Si 0.1674 0.9649 0.9167  4 O 1.58-1.70
196 Si 0.5005 0.3012 0.2538  4 O 1.59-1.70
197 Si 0.8466 0.9822 0.7532  4 O 1.60-1.71
198 Si 0.0002 0.3004 0.2543  4 O 1.59-1.70
199 Si 0.0170 0.3790 0.9167  4 O 1.60-1.71
200 Si 0.0008 0.6984 0.7541  4 O 1.59-1.72
201 Si 0.1662 0.3677 0.4179  4 O 1.58-1.71
202 Si 0.5004 0.6996 0.7552  4 O 1.58-1.72
203 Si 0.8505 0.7151 0.2515  4 O 1.61-1.69
204 Si 0.5148 0.3788 0.9174  4 O 1.58-1.72
205 Si 0.3502 0.7146 0.2516  4 O 1.61-1.68
206 Si 0.5130 0.6532 0.4158  4 O 1.58-1.71
207 Si 0.3499 0.9859 0.7490  4 O 1.59-1.72
208 Si 0.6663 0.3671 0.4205  4 O 1.59-1.72
209 Si 0.6668 0.9651 0.9190  4 O 1.58-1.72
210 Si 0.0157 0.6530 0.4193  4 O 1.60-1.72
211 Ti 0.4954 0.9670 0.6505  3 O 1.80-1.99
212 Ti 0.1602 0.6299 0.3127  4 O 1.85-1.93
213 Ti 0.3225 0.3026 0.9772  3 O 1.83-1.93
214 Ti 0.8237 0.3544 0.4797  4 O 1.85-2.01
215 Ti 0.6597 0.6910 0.8132  4 O 1.84-1.94
216 Ti 0.3207 0.3277 0.4762  3 O 1.84-1.99
217 Ti 0.1582 0.6887 0.8119  4 O 1.85-1.98
218 Ti 0.6596 0.6316 0.3134  4 O 1.84-1.94
219 Ti 0.8196 0.3150 0.9767  3 O 1.83-2.03
220 Ti 0.4961 0.0211 0.1491  3 O 1.84-1.90
221 Ti 0.9964 0.0238 0.1493  3 O 1.83-1.90
222 Ti 0.9925 0.9658 0.6497  4 O 1.83-1.98
223 Y 0.8368 0.3367 0.6869  6 O 2.14-2.28
224 Y 0.8355 0.3382 0.1823  6 O 2.13-2.29
225 Y 0.9984 0.0029 0.8479  6 O 2.13-2.34
226 Y 0.6601 0.6501 0.0219  5 O 2.06-2.26
227 Y 0.5019 0.9979 0.3505  6 O 2.18-2.31
228 Y 0.6592 0.6726 0.5191  6 O 2.08-2.32
229 Y 0.3355 0.3393 0.1816  6 O 2.13-2.30
230 Y 0.4942 0.0038 0.8550  6 O 2.13-2.29
231 Y 0.1615 0.6536 0.0202  5 O 2.11-2.26
232 Y 0.3342 0.3332 0.6841  6 O 2.14-2.25
233 Y 0.1667 0.6751 0.5191  5 O 2.12-2.27
234 Y 0.0013 0.9948 0.3513  6 O 2.17-2.29

Values from the calculation:
* ΔH_f (0 K): -2.820 eV/atom
* total energy after the MP2020 corrections: -1760.43 eV per cell
* space-group type: No. 1